1.
## NaSr3NdTi5O15 (PBE)

Data for an optimized crystal structure of NaSr3NdTi5O15.

Unit cell a=5.515 b=5.515 c=39.560 alpha=90.00 beta=90.00 gamma=90.00
Space group I-42m (No. 121)
Symmetry-distinct sites (fractional):
Na  0.000  0.000  0.201 x4
Sr  0.000  0.000  0.000 x2
Sr  0.000  0.000  0.101 x4
Sr  0.000  0.000  0.399 x4
Sr  0.000  0.000  0.500 x2
Nd  0.000  0.000  0.299 x4
Ti  0.000  0.500  0.050 x8
Ti  0.000  0.500  0.151 x8
Ti  0.000  0.500  0.250 x4
O  0.000  0.500  0.000 x4
O  0.000  0.500  0.101 x8
O  0.000  0.500  0.201 x8
O  0.202  0.202  0.748 x8
O  0.210  0.210  0.348 x8
O  0.221  0.221  0.151 x8
O  0.227  0.227  0.550 x8
O  0.227  0.227  0.949 x8

Computed properties:
- energy of formation (meV/atom) = -3486
- electronic total energy (eV/atom) = -8.068

2.
## NaSr2NdTi4O12 (PBE)

Data for an optimized crystal structure of NaSr2NdTi4O12.

Unit cell a=5.504 b=5.504 c=23.660 alpha=90.00 beta=90.00 gamma=90.00
Space group P-42m (No. 111)
Symmetry-distinct sites (fractional):
Na  0.000  0.000  0.000 x1
Na  0.500  0.500  0.166 x2
Sr  0.000  0.000  0.332 x2
Sr  0.000  0.000  0.500 x1
Sr  0.500  0.500  0.332 x2
Sr  0.500  0.500  0.500 x1
Nd  0.000  0.000  0.166 x2
Nd  0.500  0.500  0.000 x1
Ti  0.000  0.500  0.083 x4
Ti  0.000  0.500  0.247 x4
Ti  0.000  0.500  0.416 x4
O  0.000  0.500  0.000 x2
O  0.000  0.500  0.165 x4
O  0.000  0.500  0.332 x4
O  0.000  0.500  0.500 x2
O  0.201  0.201  0.914 x4
O  0.208  0.208  0.245 x4
O  0.225  0.225  0.584 x4
O  0.276  0.276  0.416 x4
O  0.280  0.280  0.752 x4
O  0.299  0.299  0.079 x4

Computed properties:
- energy of formation (meV/atom) = -3471
- electronic total energy (eV/atom) = -8.080

3.
## NaNdTi4O12 (PBE)

Data for an optimized crystal structure of NaNdTi4O12.

Unit cell a=5.449 b=5.449 c=7.886 alpha=90.00 beta=90.00 gamma=90.00
Space group P4/mmm (No. 123)
Symmetry-distinct sites (fractional):
Na  0.000  0.000  0.000 x1
Nd  0.500  0.500  0.500 x1
Ti  0.000  0.500  0.238 x4
O  0.000  0.500  0.000 x2
O  0.000  0.500  0.500 x2
O  0.257  0.257  0.267 x8

Computed properties:
- energy of formation (meV/atom) = -2904
- electronic total energy (eV/atom) = -7.838